[1]
VASP calculation (GGA+U) on a geometry-optimized MgNiTe4O12 structure.

Cell lengths 5.270, 5.838, 8.008 Å; angles 80.40, 89.09, 89.25 degrees
Space group P1 (No. 1)
Inequivalent atoms, fractional coordinates:
Mg 0.000 0.000 0.000
Ni 0.494 0.789 0.148
Te 0.510 0.188 0.356
Te 0.511 0.132 0.816
Te 0.980 0.645 0.327
Te 0.981 0.592 0.787
O 0.115 0.632 0.557
O 0.164 0.927 0.238
O 0.191 0.293 0.875
O 0.302 0.489 0.267
O 0.326 0.853 0.908
O 0.376 0.143 0.587
O 0.642 0.123 0.044
O 0.664 0.444 0.743
O 0.676 0.809 0.377
O 0.814 0.967 0.769
O 0.829 0.332 0.399
O 0.849 0.659 0.100

Calculated values
Magnetic moment   2.00 μB/cell
Calculated total energy   -0.3938 Ry/atom
Crystal system   triclinic
V   242.9 Å³/f.u.
Energy of formation   -1549 meV/atom



[2]
VASP calculation (GGA+U) on a geometry-optimized RbMnO4 structure.

Cell lengths 9.693, 5.953, 7.827 Å; angles 90.00, 90.00, 90.00 degrees
Space group Pnma (No. 62)
Inequivalent atoms, fractional coordinates:
Rb 0.185 0.250 0.156
Mn 0.058 0.250 0.697
O 0.080 0.028 0.814
O 0.097 0.750 0.380
O 0.170 0.250 0.543

Calculated values
Calculated total energy   -0.4206 Ry/atom
Crystal system   orthorhombic
V   112.9 Å³/f.u.
Energy of formation   -1470 meV/atom